No. 1
# SrSmAl3O7

An optimized crystal structure of SrSmAl3O7 (GGA-PBE, the Materials Project).

Cell and atoms, written as extended XYZ:
```
24
Lattice="5.551 -5.609 0.000 5.551 5.609 0.000 0.000 0.000 5.214" Properties=species:S:1:pos:R:3 pbc="T T T"
Sr 5.551 3.792 0.000
Sr 5.551 -3.792 0.000
Sm 3.758 0.000 5.088
Sm 7.344 0.000 5.088
Al 2.776 2.805 2.577
Al 1.628 0.000 2.761
Al 5.551 1.569 2.343
Al 2.776 -2.805 2.577
Al 5.551 -1.569 2.343
Al 9.475 0.000 2.761
O 0.000 0.000 3.396
O 2.416 1.380 3.595
O 1.731 0.000 1.021
O 4.148 2.325 1.573
O 2.416 -1.380 3.595
O 5.551 1.432 4.096
O 6.954 2.325 1.573
O 5.551 0.000 1.513
O 4.148 -2.325 1.573
O 5.551 -1.432 4.096
O 8.686 1.380 3.595
O 6.954 -2.325 1.573
O 9.372 0.000 1.021
O 8.686 -1.380 3.595
```

## Properties
Space-group type ... Cmm2, No. 35
Magnetization ... 0.002 μB per cell
V ... 324.7 Å³/cell
Uncorrected energy ... -180.41 eV per cell

No. 2
# AlSnO3

An optimized crystal structure of AlSnO3 (GGA-PBE, the Materials Project).

Cell and atoms, written as extended XYZ:
```
20
Lattice="5.317 0.000 0.000 0.000 5.217 0.000 -4.354 0.000 9.225" Properties=species:S:1:pos:R:3 pbc="T T T"
Al -0.026 0.162 2.258
Al -2.203 2.447 6.870
Al 3.167 2.770 2.355
Al 0.990 5.055 6.968
Sn -2.177 0.000 4.613
Sn 0.000 2.608 0.000
Sn 2.659 0.000 0.000
Sn 0.482 2.608 4.613
O -0.581 3.683 2.691
O -2.758 4.142 7.303
O 0.910 0.599 0.817
O -1.267 2.009 5.430
O 0.791 0.896 3.618
O -1.386 1.713 8.231
O 2.350 3.504 0.994
O 0.173 4.321 5.607
O 2.231 3.208 3.795
O 0.054 4.617 8.408
O 3.721 1.074 1.922
O 1.544 1.534 6.535
```

## Properties
Space-group type ... P2_1/c, No. 14
Magnetization ... 0.005 μB per cell
V ... 255.9 Å³/cell
Uncorrected energy ... -130.88 eV per cell

Question: Which formula does entry 2 have?
Answer: AlSnO3

Question: Look up the V of the second one.
Answer: 255.9 Å³/cell

Question: Which formula does entry 1 have?
Answer: SrSmAl3O7